4
Lattice="-5.083 -1.036 4.995 -6.540 1.631 -2.535 5.348 -4.127 -2.496" Properties=species:S:1:pos:R:3 comment="BaEu3, relaxed, DFT GGA-PBE" vol_a3_per_atom=49.0 crystal_system=tetragonal total_energy_ev_per_atom=-8.126 pbc="T T T"
Ba 0.000 0.000 0.000
Eu -2.774 -2.433 1.864
Eu -3.502 -1.099 -1.901
Eu -5.812 0.297 1.230